1.
The following is a DFT calculation (PBE with a Hubbard U) of LiMnPO4 after structural relaxation.

Cell lengths 5.2371, 9.0715, 9.7090 Å; angles 89.96, 90.01, 90.00 degrees
With the nearest neighbours (Å) after each atom.
Atoms (fractional coordinates):
O (0.1321, 0.8090, 0.2044)  1 P 1.56
O (0.0009, 0.3337, 0.9176)  1 P 1.52
O (0.1471, 0.5293, 0.2043)  1 P 1.56
O (0.6320, 0.3091, 0.2042)  1 P 1.56
O (0.8527, 0.4708, 0.7044)  1 P 1.56
O (0.3527, 0.9708, 0.7043)  1 P 1.56
O (0.2203, 0.1619, 0.2046)  1 P 1.56
O (0.7795, 0.8380, 0.7041)  1 P 1.56
O (0.3675, 0.6910, 0.7048)  1 P 1.56
O (0.5008, 0.8337, 0.9175)  1 P 1.52
O (0.6470, 0.0293, 0.2042)  1 P 1.56
O (0.2795, 0.3379, 0.7042)  1 P 1.56
O (0.8676, 0.1910, 0.7051)  1 P 1.56
O (0.0003, 0.6664, 0.4176)  1 P 1.53
O (0.5004, 0.1665, 0.4175)  1 P 1.53
O (0.7204, 0.6620, 0.2047)  1 P 1.56
Li (0.0000, 0.0000, 0.7348)  3 O 1.89
Li (0.4998, 0.4999, 0.2348)  3 O 1.89
Li (0.5000, 0.5000, 0.7348)  3 O 1.89
Li (0.9997, 0.9999, 0.2348)  3 O 1.89
P (0.5000, 0.8334, 0.7604)  4 O 1.52-1.56
P (0.0001, 0.3334, 0.7605)  4 O 1.52-1.56
P (0.5001, 0.1666, 0.2604)  4 O 1.53-1.56
P (0.0001, 0.6666, 0.2605)  4 O 1.53-1.56
Mn (0.5002, 0.1667, 0.6233)  4 O 2.00-2.09
Mn (0.4997, 0.8333, 0.1232)  4 O 2.00-2.09
Mn (0.9998, 0.3333, 0.1233)  4 O 2.00-2.09
Mn (0.0001, 0.6667, 0.6234)  4 O 2.00-2.09

* polymorph energy (0 for the lowest one): 1.034 kcal/mol of atoms
* calculated formation energy: -2588.9 meV/atom
* V: 16.47 Å³/atom
* magnetic moment: 0.00 μB/f.u.

=====

2.
The following is a DFT calculation (PBE with a Hubbard U) of LiMn2P2O8 after structural relaxation.

Cell lengths 5.1943, 8.6671, 17.0370 Å; angles 80.40, 90.00, 90.00 degrees
With the nearest neighbours (Å) after each atom.
Atoms (fractional coordinates):
Mn (0.6770, 0.3731, 0.6314)  4 O 2.04-2.12
Mn (0.1961, 0.4665, 0.3612)  4 O 1.90-1.98
Mn (0.3169, 0.8812, 0.6150)  4 O 1.90-2.05
Mn (0.8323, 0.9761, 0.3743)  4 O 2.02-2.11
Mn (0.3230, 0.3731, 0.1314)  4 O 2.04-2.12
Mn (0.8039, 0.4665, 0.8612)  4 O 1.90-1.98
Mn (0.6831, 0.8812, 0.1150)  4 O 1.90-2.05
Mn (0.1677, 0.9761, 0.8743)  4 O 2.02-2.11
O (0.3922, 0.2965, 0.4149)  1 P 1.58
O (0.6078, 0.2965, 0.9149)  1 P 1.58
O (0.3797, 0.7735, 0.9197)  1 P 1.55
O (0.7673, 0.0949, 0.1143)  1 P 1.58
O (0.3008, 0.0659, 0.7613)  1 P 1.55
O (0.6913, 0.3361, 0.1717)  1 P 1.53
O (0.2280, 0.6137, 0.1067)  1 P 1.55
O (0.1071, 0.7385, 0.6894)  1 P 1.55
O (0.6573, 0.8442, 0.6756)  1 P 1.55
O (0.8055, 0.6226, 0.9342)  1 P 1.57
O (0.1945, 0.6226, 0.4342)  1 P 1.57
O (0.2295, 0.1255, 0.9516)  1 P 1.53
O (0.8929, 0.7385, 0.1894)  1 P 1.55
O (0.2488, 0.8400, 0.5079)  1 P 1.54
O (0.2100, 0.9034, 0.3587)  1 P 1.56
O (0.7720, 0.6137, 0.6067)  1 P 1.55
O (0.7494, 0.5700, 0.7539)  1 P 1.55
O (0.2733, 0.3789, 0.0102)  1 P 1.54
O (0.7267, 0.3789, 0.5102)  1 P 1.54
O (0.7900, 0.9034, 0.8587)  1 P 1.56
O (0.3087, 0.3361, 0.6717)  1 P 1.53
O (0.1151, 0.1917, 0.2018)  1 P 1.55
O (0.6203, 0.7735, 0.4197)  1 P 1.55
O (0.8849, 0.1917, 0.7018)  1 P 1.55
O (0.7705, 0.1255, 0.4516)  1 P 1.53
O (0.3427, 0.8442, 0.1756)  1 P 1.55
O (0.7512, 0.8400, 0.0079)  1 P 1.54
O (0.6992, 0.0659, 0.2613)  1 P 1.55
O (0.2327, 0.0949, 0.6143)  1 P 1.58
O (0.8334, 0.3935, 0.3655)  1 P 1.56
O (0.2506, 0.5700, 0.2539)  1 P 1.55
O (0.1666, 0.3935, 0.8655)  1 P 1.56
Li (0.6733, 0.0019, 0.7513)  4 O 1.98-2.04
Li (0.3267, 0.0019, 0.2513)  4 O 1.98-2.04
Li (0.1651, 0.6103, 0.9910)  4 O 2.00-2.10
Li (0.8349, 0.6103, 0.4910)  4 O 2.00-2.10
P (0.1787, 0.6931, 0.1801)  4 O 1.55
P (0.3127, 0.2976, 0.9372)  4 O 1.53-1.58
P (0.6745, 0.7869, 0.9292)  4 O 1.54-1.57
P (0.8213, 0.6931, 0.6801)  4 O 1.55
P (0.1790, 0.1752, 0.6895)  4 O 1.53-1.58
P (0.8210, 0.1752, 0.1895)  4 O 1.53-1.58
P (0.3255, 0.7869, 0.4292)  4 O 1.54-1.57
P (0.6873, 0.2976, 0.4372)  4 O 1.53-1.58

* polymorph energy (0 for the lowest one): 1.233 kcal/mol of atoms
* calculated formation energy: -2484.8 meV/atom
* V: 14.54 Å³/atom
* magnetic moment: 9.00 μB/f.u.

=====

3.
The following is a DFT calculation (PBE with a Hubbard U) of LiMnPO4 after structural relaxation.

Cell lengths 5.1009, 8.4405, 18.6959 Å; angles 90.00, 90.00, 90.00 degrees
With the nearest neighbours (Å) after each atom.
Atoms (fractional coordinates):
Li (0.9557, 0.3517, 0.2619)  3 O 1.87-1.99
Li (0.4557, 0.1483, 0.7619)  3 O 1.87-1.99
Li (0.9557, 0.8517, 0.2381)  3 O 1.87-1.99
Li (0.6007, 0.5718, 0.9501)  3 O 1.94-2.01
Li (0.1007, 0.4282, 0.0499)  3 O 1.94-2.01
Li (0.6007, 0.0718, 0.5499)  3 O 1.94-2.01
Li (0.4557, 0.6483, 0.7381)  3 O 1.87-1.99
Li (0.1007, 0.9282, 0.4501)  3 O 1.94-2.01
O (0.2788, 0.4345, 0.1417)  1 P 1.57
O (0.8169, 0.2695, 0.3541)  1 P 1.56
O (0.3761, 0.1400, 0.1434)  1 P 1.54
O (0.8538, 0.1080, 0.4688)  1 P 1.53
O (0.3122, 0.2848, 0.2587)  1 P 1.57
O (0.7788, 0.5655, 0.8583)  1 P 1.57
O (0.3345, 0.0882, 0.9708)  1 P 1.58
O (0.3538, 0.8920, 0.5312)  1 P 1.53
O (0.8169, 0.7695, 0.1459)  1 P 1.56
O (0.7208, 0.3450, 0.1852)  1 P 1.53
O (0.3538, 0.3920, 0.9688)  1 P 1.53
O (0.7208, 0.8450, 0.3148)  1 P 1.53
O (0.8345, 0.4118, 0.4708)  1 P 1.58
O (0.3345, 0.5882, 0.5292)  1 P 1.58
O (0.8122, 0.7152, 0.7413)  1 P 1.57
O (0.3169, 0.2305, 0.8541)  1 P 1.56
O (0.7448, 0.7272, 0.5738)  1 P 1.57
O (0.3122, 0.7848, 0.2413)  1 P 1.57
O (0.7788, 0.0655, 0.6417)  1 P 1.57
O (0.3761, 0.6400, 0.3566)  1 P 1.54
O (0.7448, 0.2272, 0.9262)  1 P 1.57
O (0.8761, 0.8600, 0.8566)  1 P 1.54
O (0.3169, 0.7305, 0.6459)  1 P 1.56
O (0.2448, 0.2728, 0.4262)  1 P 1.57
O (0.8538, 0.6080, 0.0312)  1 P 1.53
O (0.8761, 0.3600, 0.6434)  1 P 1.54
O (0.2208, 0.1550, 0.6852)  1 P 1.53
O (0.8122, 0.2152, 0.7587)  1 P 1.57
O (0.2448, 0.7728, 0.0738)  1 P 1.57
O (0.2788, 0.9345, 0.3583)  1 P 1.57
O (0.8345, 0.9118, 0.0292)  1 P 1.58
O (0.2208, 0.6550, 0.8148)  1 P 1.53
P (0.9387, 0.2602, 0.4304)  4 O 1.53-1.58
P (0.4310, 0.7982, 0.3185)  4 O 1.53-1.57
P (0.4387, 0.2398, 0.9304)  4 O 1.53-1.58
P (0.4387, 0.7398, 0.5696)  4 O 1.53-1.58
P (0.9310, 0.7018, 0.8185)  4 O 1.53-1.57
P (0.4310, 0.2982, 0.1815)  4 O 1.53-1.57
P (0.9310, 0.2018, 0.6815)  4 O 1.53-1.57
P (0.9387, 0.7602, 0.0696)  4 O 1.53-1.58
Mn (0.4642, 0.4876, 0.4320)  4 O 1.96-2.13
Mn (0.9630, 0.8545, 0.6604)  4 O 2.04-2.24
Mn (0.9630, 0.3545, 0.8396)  4 O 2.04-2.24
Mn (0.4642, 0.9876, 0.0680)  4 O 1.96-2.13
Mn (0.9642, 0.5124, 0.5680)  4 O 1.96-2.13
Mn (0.4630, 0.1455, 0.3396)  4 O 2.04-2.24
Mn (0.9642, 0.0124, 0.9320)  4 O 1.96-2.13
Mn (0.4630, 0.6455, 0.1604)  4 O 2.04-2.24

* polymorph energy (0 for the lowest one): 1.810 kcal/mol of atoms
* calculated formation energy: -2555.3 meV/atom
* V: 14.37 Å³/atom
* magnetic moment: 0.00 μB/f.u.

=====

4.
The following is a DFT calculation (PBE with a Hubbard U) of LiMnPO4 after structural relaxation.

Cell lengths 5.0695, 9.3959, 6.4230 Å; angles 90.00, 90.00, 90.00 degrees
With the nearest neighbours (Å) after each atom.
Atoms (fractional coordinates):
Li (0.5000, 0.5000, 0.0000)  4 O 2.01-2.23
Li (0.0000, 0.0000, 0.5000)  4 O 2.01-2.23
Li (0.5000, 0.5000, 0.5000)  4 O 2.01-2.23
Li (0.0000, 0.0000, 0.0000)  4 O 2.01-2.23
P (0.5389, 0.8197, 0.7500)  4 O 1.55-1.57
P (0.0389, 0.6803, 0.2500)  4 O 1.55-1.57
P (0.9611, 0.3197, 0.7500)  4 O 1.55-1.57
P (0.4611, 0.1803, 0.2500)  4 O 1.55-1.57
O (0.8308, 0.3883, 0.9447)  1 P 1.55
O (0.3995, 0.3440, 0.2500)  1 P 1.57
O (0.7375, 0.6507, 0.2500)  1 P 1.55
O (0.2374, 0.8493, 0.7500)  1 P 1.55
O (0.1005, 0.8439, 0.2500)  1 P 1.57
O (0.3308, 0.1117, 0.4447)  1 P 1.55
O (0.6005, 0.6561, 0.7500)  1 P 1.57
O (0.7626, 0.1507, 0.2500)  1 P 1.55
O (0.1693, 0.6117, 0.0553)  1 P 1.55
O (0.6693, 0.8883, 0.5553)  1 P 1.55
O (0.3308, 0.1117, 0.0553)  1 P 1.55
O (0.8308, 0.3883, 0.5553)  1 P 1.55
O (0.6693, 0.8883, 0.9447)  1 P 1.55
O (0.2626, 0.3493, 0.7500)  1 P 1.55
O (0.1693, 0.6117, 0.4447)  1 P 1.55
O (0.8995, 0.1560, 0.7500)  1 P 1.57
Mn (0.0265, 0.6475, 0.7500)  4 O 2.12-2.18
Mn (0.4732, 0.1474, 0.7500)  4 O 2.12-2.18
Mn (0.9733, 0.3525, 0.2500)  4 O 2.12-2.18
Mn (0.5265, 0.8525, 0.2500)  4 O 2.12-2.18

* polymorph energy (0 for the lowest one): 1.615 kcal/mol of atoms
* calculated formation energy: -2563.7 meV/atom
* V: 10.93 Å³/atom
* magnetic moment: 0.00 μB/f.u.

=====

5.
The following is a DFT calculation (PBE with a Hubbard U) of LiMn2P2O8 after structural relaxation.

Cell lengths 5.3013, 9.4393, 6.1007 Å; angles 90.01, 89.98, 90.62 degrees
With the nearest neighbours (Å) after each atom.
Atoms (fractional coordinates):
Li (0.3709, 0.5583, 0.1222)  4 O 1.89-2.07
Li (0.8702, 0.0581, 0.3782)  4 O 1.90-2.07
O (0.2351, 0.9915, 0.3210)  1 P 1.59
O (0.2626, 0.5297, 0.8294)  1 P 1.53
O (0.2350, 0.9588, 0.9343)  1 P 1.57
O (0.5164, 0.2310, 0.8557)  1 P 1.60
O (0.2257, 0.5497, 0.4235)  1 P 1.57
O (0.5055, 0.7290, 0.6284)  1 P 1.54
O (0.0056, 0.2285, 0.8707)  1 P 1.54
O (0.7614, 0.0292, 0.6712)  1 P 1.53
O (0.7359, 0.4585, 0.5659)  1 P 1.57
O (0.4796, 0.2794, 0.3340)  1 P 1.56
O (0.4596, 0.7675, 0.1447)  1 P 1.54
O (0.0165, 0.7307, 0.6445)  1 P 1.60
O (0.7357, 0.4914, 0.1793)  1 P 1.58
O (0.9599, 0.2674, 0.3549)  1 P 1.54
O (0.9794, 0.7793, 0.1661)  1 P 1.57
O (0.7251, 0.0500, 0.0769)  1 P 1.57
P (0.2317, 0.8664, 0.1474)  4 O 1.54-1.59
P (0.2651, 0.6364, 0.6399)  4 O 1.53-1.60
P (0.7318, 0.3663, 0.3525)  4 O 1.54-1.58
P (0.7644, 0.1363, 0.8602)  4 O 1.53-1.60
Mn (0.2293, 0.3352, 0.6293)  6 O 2.14-2.38
Mn (0.3268, 0.1408, 0.1011)  4 O 1.99-2.09
Mn (0.7304, 0.8352, 0.8702)  6 O 2.14-2.39
Mn (0.8277, 0.6405, 0.3987)  4 O 1.99-2.09

* polymorph energy (0 for the lowest one): 1.458 kcal/mol of atoms
* calculated formation energy: -2475.1 meV/atom
* V: 11.74 Å³/atom
* magnetic moment: 9.00 μB/f.u.

=====

6.
The following is a DFT calculation (PBE with a Hubbard U) of LiMn2P2O8 after structural relaxation.

Cell lengths 7.5041, 7.5425, 9.5798 Å; angles 90.23, 90.35, 119.41 degrees
With the nearest neighbours (Å) after each atom.
Atoms (fractional coordinates):
O (0.8344, 0.2979, 0.3708)  1 P 1.54
O (0.6150, 0.1280, 0.6748)  1 P 1.52
O (0.2880, 0.8266, 0.8592)  1 P 1.54
O (0.1103, 0.8896, 0.5507)  1 P 1.56
O (0.7665, 0.8883, 0.5421)  1 P 1.58
O (0.4526, 0.1692, 0.3605)  1 P 1.54
O (0.3887, 0.4958, 0.1845)  1 P 1.56
O (0.1259, 0.6116, 0.1730)  1 P 1.53
O (0.6699, 0.3356, 0.8973)  1 P 1.61
O (0.6959, 0.5454, 0.3970)  1 P 1.55
O (0.2196, 0.0952, 0.0545)  1 P 1.56
O (0.0003, 0.0083, 0.3343)  1 P 1.52
O (0.3493, 0.6473, 0.6618)  1 P 1.60
O (0.8806, 0.7755, 0.0535)  1 P 1.59
O (0.1036, 0.2196, 0.5531)  1 P 1.55
O (0.5026, 0.8756, 0.1809)  1 P 1.54
O (0.5138, 0.3998, 0.6806)  1 P 1.55
O (0.6822, 0.3706, 0.1606)  1 P 1.61
O (0.3332, 0.6651, 0.3963)  1 P 1.59
O (0.5338, 0.6887, 0.8945)  1 P 1.55
O (0.8896, 0.5047, 0.6860)  1 P 1.55
O (0.9880, 0.9899, 0.8372)  1 P 1.50
O (0.8953, 0.1205, 0.0582)  1 P 1.58
O (0.1503, 0.4489, 0.8801)  1 P 1.54
Mn (0.4589, 0.0392, 0.0135)  4 O 2.08-2.30
Mn (0.9496, 0.4145, 0.0269)  3 O 1.99-2.07
Mn (0.6017, 0.5523, 0.0389)  4 O 1.94-2.10
Mn (0.0494, 0.4511, 0.5300)  3 O 1.99-2.10
Mn (0.4129, 0.9570, 0.5206)  3 O 2.04-2.14
Mn (0.5556, 0.6031, 0.5446)  4 O 1.92-2.07
P (0.9972, 0.9996, 0.9937)  4 O 1.50-1.59
P (0.6735, 0.3391, 0.7298)  4 O 1.52-1.61
P (0.3370, 0.6640, 0.2307)  4 O 1.53-1.59
P (0.9961, 0.0002, 0.4930)  4 O 1.52-1.58
P (0.6657, 0.3466, 0.3274)  4 O 1.54-1.61
P (0.3298, 0.6502, 0.8276)  4 O 1.54-1.60
Li (0.7921, 0.0365, 0.2472)  3 O 1.87-2.00
Li (0.2431, 0.1902, 0.2445)  4 O 1.87-2.09
Li (0.0462, 0.8081, 0.7433)  4 O 1.86-2.07

* polymorph energy (0 for the lowest one): 1.705 kcal/mol of atoms
* calculated formation energy: -2464.3 meV/atom
* V: 12.11 Å³/atom
* magnetic moment: 9.00 μB/f.u.

=====

- Which value of calculated formation energy does entry 3 give?
  -2555.3 meV/atom